(1)
Entry from the Materials Project: a relaxed structure of Li3Mo4P9O32 (PBE with a Hubbard U).

Summary:
spin magnetization = 8.00 μB per formula unit
corrected total energy (MP2020 scheme) = -753.9 eV per cell
formation energy from the elements = -2.5167 eV/atom

abc: 14.0233 14.0233 6.4732
angles: 90.00 90.00 90.00
Atoms (fractional coordinates):
Li  0.0000  0.0000  0.0000
Li  0.0000  0.5000  0.1367
Li  0.0000  0.5000  0.6367
Li  0.5000  0.0000  0.3633
Li  0.5000  0.0000  0.8633
Li  0.5000  0.5000  0.5000
Mo  0.1212  0.1967  0.6229
Mo  0.1967  0.8788  0.3771
Mo  0.3033  0.3788  0.1229
Mo  0.3788  0.6967  0.8771
Mo  0.6212  0.3033  0.8771
Mo  0.6967  0.6212  0.1229
Mo  0.8033  0.1212  0.3771
Mo  0.8788  0.8033  0.6229
P  0.0000  0.0000  0.5000
P  0.0603  0.6922  0.3871
P  0.1011  0.2475  0.1309
P  0.1922  0.5603  0.8871
P  0.2475  0.8989  0.8691
P  0.2525  0.3989  0.6309
P  0.3078  0.0603  0.6129
P  0.3989  0.7475  0.3691
P  0.4397  0.1922  0.1129
P  0.5000  0.5000  0.0000
P  0.5603  0.8078  0.1129
P  0.6011  0.2525  0.3691
P  0.6922  0.9397  0.6129
P  0.7475  0.6011  0.6309
P  0.7525  0.1011  0.8691
P  0.8078  0.4397  0.8871
P  0.8989  0.7525  0.1309
P  0.9397  0.3078  0.3871
O  0.0076  0.7247  0.1720
O  0.0092  0.7457  0.5639
O  0.0566  0.5857  0.3979
O  0.0591  0.9364  0.3513
O  0.0636  0.0591  0.6487
O  0.0857  0.5566  0.8979
O  0.0972  0.1873  0.9324
O  0.1338  0.1833  0.3093
O  0.1582  0.3389  0.1077
O  0.1611  0.3418  0.6077
O  0.1609  0.7377  0.3596
O  0.1833  0.8662  0.6907
O  0.1873  0.9028  0.0676
O  0.2247  0.5076  0.6720
O  0.2377  0.6609  0.8596
O  0.2457  0.5092  0.0639
O  0.2543  0.0092  0.4361
O  0.2623  0.1609  0.6404
O  0.2753  0.0076  0.8280
O  0.3127  0.4028  0.4324
O  0.3167  0.3662  0.8093
O  0.3391  0.2377  0.1404
O  0.3389  0.8418  0.8923
O  0.3418  0.8389  0.3923
O  0.3662  0.6833  0.1907
O  0.4028  0.6873  0.5676
O  0.4143  0.0566  0.6021
O  0.4364  0.5591  0.8513
O  0.4409  0.4364  0.1487
O  0.4434  0.0857  0.1021
O  0.4908  0.2457  0.9361
O  0.4924  0.2247  0.3280
O  0.5076  0.7753  0.3280
O  0.5092  0.7543  0.9361
O  0.5566  0.9143  0.1021
O  0.5591  0.5636  0.1487
O  0.5636  0.4409  0.8513
O  0.5857  0.9434  0.6021
O  0.5972  0.3127  0.5676
O  0.6338  0.3167  0.1907
O  0.6582  0.1611  0.3923
O  0.6611  0.1582  0.8923
O  0.6609  0.7623  0.1404
O  0.6833  0.6338  0.8093
O  0.6873  0.5972  0.4324
O  0.7247  0.9924  0.8280
O  0.7377  0.8391  0.6404
O  0.7457  0.9908  0.4361
O  0.7543  0.4908  0.0639
O  0.7623  0.3391  0.8596
O  0.7753  0.4924  0.6720
O  0.8127  0.0972  0.0676
O  0.8167  0.1338  0.6907
O  0.8391  0.2623  0.3596
O  0.8389  0.6582  0.6077
O  0.8418  0.6611  0.1077
O  0.8662  0.8167  0.3093
O  0.9028  0.8127  0.9324
O  0.9143  0.4434  0.8979
O  0.9364  0.9409  0.6487
O  0.9409  0.0636  0.3513
O  0.9434  0.4143  0.3979
O  0.9908  0.2543  0.5639
O  0.9924  0.2753  0.1720



(2)
Entry from the Materials Project: a relaxed structure of LiMoP2O8 (PBE with a Hubbard U).

Summary:
spin magnetization = 1.00 μB per formula unit
corrected total energy (MP2020 scheme) = -1118.4 eV per cell
excess energy over the best structure of this formula in the dataset = 0.0 meV/atom
formation energy from the elements = -2.5026 eV/atom

abc: 10.1277 12.1598 16.9502
angles: 90.00 110.89 90.00
Atoms (fractional coordinates):
Li  0.0416  0.0586  0.1428
Li  0.0416  0.4414  0.6428
Li  0.2736  0.5620  0.7111
Li  0.2736  0.9380  0.2111
Li  0.3815  0.0601  0.4766
Li  0.3815  0.4399  0.9766
Li  0.6185  0.5601  0.0234
Li  0.6185  0.9399  0.5234
Li  0.7264  0.0620  0.7889
Li  0.7264  0.4380  0.2889
Li  0.9584  0.5586  0.3572
Li  0.9584  0.9414  0.8572
Mo  0.1215  0.2155  0.4249
Mo  0.1215  0.2845  0.9249
Mo  0.2164  0.7024  0.4107
Mo  0.2164  0.7976  0.9107
Mo  0.4503  0.1963  0.7615
Mo  0.4503  0.3037  0.2615
Mo  0.5497  0.6963  0.7385
Mo  0.5497  0.8037  0.2385
Mo  0.7836  0.2024  0.0893
Mo  0.7836  0.2976  0.5893
Mo  0.8785  0.7155  0.0751
Mo  0.8785  0.7845  0.5751
P  0.0939  0.1747  0.6236
P  0.0939  0.3253  0.1236
P  0.1242  0.5420  0.8400
P  0.1242  0.9580  0.3400
P  0.2024  0.0420  0.0203
P  0.2024  0.4580  0.5203
P  0.2364  0.7036  0.1197
P  0.2364  0.7964  0.6197
P  0.4389  0.1994  0.0582
P  0.4389  0.3006  0.5582
P  0.4710  0.5511  0.1584
P  0.4710  0.9489  0.6584
P  0.5290  0.0511  0.3416
P  0.5290  0.4489  0.8416
P  0.5611  0.6994  0.4418
P  0.5611  0.8006  0.9418
P  0.7636  0.2036  0.3803
P  0.7636  0.2964  0.8803
P  0.7976  0.5420  0.4797
P  0.7976  0.9580  0.9797
P  0.8758  0.0420  0.6600
P  0.8758  0.4580  0.1600
P  0.9061  0.6747  0.8764
P  0.9061  0.8253  0.3764
O  0.0020  0.2230  0.1243
O  0.0020  0.2770  0.6243
O  0.0312  0.0748  0.6626
O  0.0312  0.4252  0.1626
O  0.0880  0.1436  0.5360
O  0.0880  0.3564  0.0360
O  0.0938  0.6925  0.1294
O  0.0938  0.8075  0.6294
O  0.1018  0.1386  0.9796
O  0.1018  0.3614  0.4796
O  0.1187  0.5150  0.7522
O  0.1187  0.9850  0.2522
O  0.1345  0.2300  0.8356
O  0.1345  0.2700  0.3356
O  0.1703  0.5510  0.4547
O  0.1703  0.9490  0.9547
O  0.1727  0.0548  0.4033
O  0.1727  0.4452  0.9033
O  0.1917  0.0099  0.1036
O  0.1917  0.4901  0.6036
O  0.2066  0.6450  0.3173
O  0.2066  0.8550  0.8173
O  0.2282  0.6370  0.8795
O  0.2282  0.8630  0.3795
O  0.2309  0.7312  0.0317
O  0.2309  0.7688  0.5317
O  0.2427  0.1927  0.6852
O  0.2427  0.3073  0.1852
O  0.3107  0.5847  0.1477
O  0.3107  0.9153  0.6477
O  0.3305  0.7136  0.6864
O  0.3305  0.7864  0.1864
O  0.3349  0.2152  0.4993
O  0.3349  0.2848  0.9993
O  0.3623  0.0812  0.0351
O  0.3623  0.4188  0.5351
O  0.4270  0.1336  0.8450
O  0.4270  0.3664  0.3450
O  0.4295  0.1449  0.2946
O  0.4295  0.3551  0.7946
O  0.4316  0.6890  0.4674
O  0.4316  0.8110  0.9674
O  0.4732  0.2258  0.1502
O  0.4732  0.2742  0.6502
O  0.4782  0.5289  0.0729
O  0.4782  0.9711  0.5729
O  0.4909  0.5504  0.7832
O  0.4909  0.9496  0.2832
O  0.5091  0.0504  0.7168
O  0.5091  0.4496  0.2168
O  0.5218  0.0289  0.4271
O  0.5218  0.4711  0.9271
O  0.5268  0.7258  0.3498
O  0.5268  0.7742  0.8498
O  0.5684  0.1890  0.0326
O  0.5684  0.3110  0.5326
O  0.5705  0.6449  0.2054
O  0.5705  0.8551  0.7054
O  0.5730  0.6336  0.6550
O  0.5730  0.8664  0.1550
O  0.6377  0.5812  0.4649
O  0.6377  0.9188  0.9649
O  0.6651  0.7152  0.0007
O  0.6651  0.7848  0.5007
O  0.6695  0.2136  0.8136
O  0.6695  0.2864  0.3136
O  0.6893  0.0847  0.3523
O  0.6893  0.4153  0.8523
O  0.7573  0.6927  0.8148
O  0.7573  0.8073  0.3148
O  0.7691  0.2312  0.4683
O  0.7691  0.2688  0.9683
O  0.7718  0.1370  0.6205
O  0.7718  0.3630  0.1205
O  0.7934  0.1450  0.1827
O  0.7934  0.3550  0.6827
O  0.8083  0.5099  0.3964
O  0.8083  0.9901  0.8964
O  0.8273  0.5548  0.0967
O  0.8273  0.9452  0.5967
O  0.8297  0.0510  0.0453
O  0.8297  0.4490  0.5453
O  0.8655  0.7300  0.6644
O  0.8655  0.7700  0.1644
O  0.8813  0.0150  0.7478
O  0.8813  0.4850  0.2478
O  0.8982  0.6386  0.5204
O  0.8982  0.8614  0.0204
O  0.9062  0.1925  0.3706
O  0.9062  0.3075  0.8706
O  0.9120  0.6436  0.9640
O  0.9120  0.8564  0.4640
O  0.9688  0.5748  0.8374
O  0.9688  0.9252  0.3374
O  0.9980  0.7230  0.3757
O  0.9980  0.7770  0.8757



(3)
Entry from the Materials Project: a relaxed structure of LiMoP2O7 (PBE with a Hubbard U).

Summary:
spin magnetization = 3.00 μB per formula unit
corrected total energy (MP2020 scheme) = -345.4 eV per cell
excess energy over the best structure of this formula in the dataset = 24.9 meV/atom
formation energy from the elements = -2.5583 eV/atom

abc: 8.5349 5.0780 13.7471
angles: 90.00 115.55 90.00
Atoms (fractional coordinates):
Li  0.0796  0.2407  0.1977
Li  0.0796  0.2593  0.6977
Li  0.9204  0.7407  0.3023
Li  0.9204  0.7593  0.8023
Mo  0.2325  0.2445  0.9703
Mo  0.2325  0.2555  0.4703
Mo  0.7675  0.7445  0.5297
Mo  0.7675  0.7555  0.0297
P  0.1990  0.7384  0.1202
P  0.1990  0.7616  0.6202
P  0.3237  0.7385  0.3528
P  0.3237  0.7615  0.8528
P  0.6763  0.2385  0.1472
P  0.6763  0.2615  0.6472
P  0.8010  0.2384  0.3798
P  0.8010  0.2616  0.8798
O  0.0325  0.6432  0.6207
O  0.0325  0.8568  0.1207
O  0.1820  0.0602  0.5974
O  0.1820  0.4398  0.0974
O  0.1837  0.5691  0.8559
O  0.1837  0.9309  0.3559
O  0.2533  0.0468  0.8403
O  0.2533  0.4532  0.3403
O  0.2651  0.6144  0.5499
O  0.2651  0.8856  0.0499
O  0.3433  0.7097  0.7421
O  0.3433  0.7903  0.2421
O  0.4993  0.2121  0.5587
O  0.4993  0.2879  0.0587
O  0.5007  0.7121  0.9413
O  0.5007  0.7879  0.4413
O  0.6567  0.2097  0.7579
O  0.6567  0.2903  0.2579
O  0.7349  0.1144  0.9501
O  0.7349  0.3856  0.4501
O  0.7467  0.5468  0.6597
O  0.7467  0.9532  0.1597
O  0.8163  0.0691  0.6441
O  0.8163  0.4309  0.1441
O  0.8180  0.5602  0.9026
O  0.8180  0.9398  0.4026
O  0.9675  0.1432  0.8793
O  0.9675  0.3568  0.3793



(4)
Entry from the Materials Project: a relaxed structure of LiMoP4O12 (PBE with a Hubbard U).

Summary:
spin magnetization = 3.00 μB per formula unit
corrected total energy (MP2020 scheme) = -560.8 eV per cell
excess energy over the best structure of this formula in the dataset = 0.0 meV/atom
formation energy from the elements = -2.5784 eV/atom

abc: 13.0001 8.3519 9.6023
angles: 90.00 90.00 90.00
Atoms (fractional coordinates):
Li  0.0000  0.0044  0.2500
Li  0.0000  0.9956  0.7500
Li  0.5000  0.4956  0.7500
Li  0.5000  0.5044  0.2500
Mo  0.0000  0.3707  0.7500
Mo  0.0000  0.6293  0.2500
Mo  0.5000  0.1293  0.2500
Mo  0.5000  0.8707  0.7500
P  0.1370  0.1753  0.5039
P  0.1370  0.8247  0.0039
P  0.1536  0.4651  0.0090
P  0.1536  0.5349  0.5090
P  0.3464  0.0349  0.5090
P  0.3464  0.9651  0.0090
P  0.3630  0.3247  0.0039
P  0.3630  0.6753  0.5039
P  0.6370  0.3247  0.4961
P  0.6370  0.6753  0.9961
P  0.6536  0.0349  0.9910
P  0.6536  0.9651  0.4910
P  0.8464  0.4651  0.4910
P  0.8464  0.5349  0.9910
P  0.8630  0.1753  0.9961
P  0.8630  0.8247  0.4961
O  0.0645  0.1838  0.6285
O  0.0645  0.8162  0.1285
O  0.0744  0.4581  0.1238
O  0.0744  0.5419  0.6238
O  0.1026  0.0928  0.3760
O  0.1026  0.9072  0.8760
O  0.1312  0.3694  0.8796
O  0.1312  0.6306  0.3796
O  0.1776  0.3530  0.4669
O  0.1776  0.6470  0.9669
O  0.2394  0.0953  0.5710
O  0.2394  0.9047  0.0710
O  0.2606  0.4047  0.0710
O  0.2606  0.5953  0.5710
O  0.3224  0.1470  0.9669
O  0.3224  0.8530  0.4669
O  0.3688  0.1306  0.3796
O  0.3688  0.8694  0.8796
O  0.3974  0.4072  0.8760
O  0.3974  0.5928  0.3760
O  0.4256  0.0419  0.6238
O  0.4256  0.9581  0.1238
O  0.4355  0.3162  0.1285
O  0.4355  0.6838  0.6285
O  0.5645  0.3162  0.3715
O  0.5645  0.6838  0.8715
O  0.5744  0.0419  0.8762
O  0.5744  0.9581  0.3762
O  0.6026  0.4072  0.6240
O  0.6026  0.5928  0.1240
O  0.6312  0.1306  0.1204
O  0.6312  0.8694  0.6204
O  0.6776  0.1470  0.5331
O  0.6776  0.8530  0.0331
O  0.7394  0.4047  0.4290
O  0.7394  0.5953  0.9290
O  0.7606  0.0953  0.9290
O  0.7606  0.9047  0.4290
O  0.8224  0.3530  0.0331
O  0.8224  0.6470  0.5331
O  0.8688  0.3694  0.6204
O  0.8688  0.6306  0.1204
O  0.8974  0.0928  0.1240
O  0.8974  0.9072  0.6240
O  0.9256  0.4581  0.3762
O  0.9256  0.5419  0.8762
O  0.9355  0.1838  0.8715
O  0.9355  0.8162  0.3715



(5)
Entry from the Materials Project: a relaxed structure of RbLiMoO5 (PBE with a Hubbard U).

Summary:
spin magnetization = 2.00 μB per formula unit
corrected total energy (MP2020 scheme) = -416.4 eV per cell
formation energy from the elements = -1.6974 eV/atom

abc: 7.9376 12.9811 11.0654
angles: 90.00 90.00 90.00
Atoms (fractional coordinates):
Rb  0.1916  0.1283  0.2034
Rb  0.1916  0.3717  0.7034
Rb  0.3084  0.6283  0.2034
Rb  0.3084  0.8717  0.7034
Rb  0.6916  0.1283  0.2966
Rb  0.6916  0.3717  0.7966
Rb  0.8084  0.6283  0.2966
Rb  0.8084  0.8717  0.7966
Li  0.0160  0.1765  0.9170
Li  0.0160  0.3235  0.4170
Li  0.4840  0.6765  0.9170
Li  0.4840  0.8235  0.4170
Li  0.5160  0.1765  0.5830
Li  0.5160  0.3235  0.0830
Li  0.9840  0.6765  0.5830
Li  0.9840  0.8235  0.0830
Mo  0.0628  0.6259  0.8767
Mo  0.0628  0.8741  0.3767
Mo  0.4372  0.1259  0.8767
Mo  0.4372  0.3741  0.3767
Mo  0.5628  0.6259  0.6233
Mo  0.5628  0.8741  0.1233
Mo  0.9372  0.1259  0.6233
Mo  0.9372  0.3741  0.1233
O  0.0331  0.0078  0.6620
O  0.0331  0.4922  0.1620
O  0.0587  0.1978  0.5119
O  0.0587  0.3022  0.0119
O  0.0735  0.7045  0.7418
O  0.0735  0.7955  0.2418
O  0.1452  0.6039  0.4563
O  0.1452  0.8961  0.9563
O  0.2262  0.1029  0.9327
O  0.2262  0.3971  0.4327
O  0.2738  0.6029  0.9327
O  0.2738  0.8971  0.4327
O  0.3548  0.1039  0.4563
O  0.3548  0.3961  0.9563
O  0.4265  0.2045  0.7418
O  0.4265  0.2955  0.2418
O  0.4413  0.6978  0.5119
O  0.4413  0.8022  0.0119
O  0.4669  0.5078  0.6620
O  0.4669  0.9922  0.1620
O  0.5331  0.0078  0.8380
O  0.5331  0.4922  0.3380
O  0.5587  0.1978  0.9881
O  0.5587  0.3022  0.4881
O  0.5735  0.7045  0.7582
O  0.5735  0.7955  0.2582
O  0.6452  0.6039  0.0437
O  0.6452  0.8961  0.5437
O  0.7262  0.1029  0.5673
O  0.7262  0.3971  0.0673
O  0.7738  0.6029  0.5673
O  0.7738  0.8971  0.0673
O  0.8548  0.1039  0.0437
O  0.8548  0.3961  0.5437
O  0.9265  0.2045  0.7582
O  0.9265  0.2955  0.2582
O  0.9413  0.6978  0.9881
O  0.9413  0.8022  0.4881
O  0.9669  0.5078  0.8380
O  0.9669  0.9922  0.3380



| no. | DFT total energy (eV/atom) | density (g/cm3) |
| --- | --- | --- |
| 1 | -7.129 | 3.1 |
| 2 | -7.041 | 3.0 |
| 3 | -7.123 | 3.4 |
| 4 | -7.153 | 2.7 |
| 5 | -5.677 | 3.1 |